1.
Compound: TmWC2
Source: the Materials Project
Functional: r2SCAN
Structure: optimized geometry

Summary:
The symmetry is No. 62. The value obtained for the formation energy is -169 kJ/mol of formula units. The crystal system is orthorhombic.

a = 3.325 Å, b = 5.669 Å, c = 10.708 Å
α = 90.00°, β = 90.00°, γ = 90.00°
Atoms (fractional coordinates):
Tm 0.750 0.414 0.637
Tm 0.250 0.586 0.363
Tm 0.750 0.914 0.863
Tm 0.250 0.086 0.137
C 0.750 0.341 0.253
C 0.250 0.159 0.753
C 0.250 0.229 0.486
C 0.250 0.659 0.747
C 0.750 0.771 0.514
C 0.750 0.271 0.986
C 0.750 0.841 0.247
C 0.250 0.729 0.014
W 0.750 0.599 0.111
W 0.250 0.901 0.611
W 0.250 0.401 0.889
W 0.750 0.099 0.389

---

2.
Compound: UC2
Source: the Materials Project
Functional: r2SCAN
Structure: optimized geometry

Summary:
The symmetry is No. 139. The value obtained for the formation energy is -69 kJ/mol of formula units. The crystal system is tetragonal.

a = 3.544 Å, b = 3.544 Å, c = 3.916 Å
α = 116.91°, β = 116.91°, γ = 90.00°
Atoms (fractional coordinates):
U 0.000 0.000 0.000
C 0.387 0.387 0.774
C 0.613 0.613 0.226

---

3.
Compound: UVC2
Source: the Materials Project
Functional: r2SCAN
Structure: optimized geometry

Summary:
The symmetry is No. 62. The value obtained for the formation energy is -190 kJ/mol of formula units. The crystal system is orthorhombic.

a = 3.191 Å, b = 5.548 Å, c = 10.747 Å
α = 90.00°, β = 90.00°, γ = 90.00°
Atoms (fractional coordinates):
C 0.750 0.765 0.509
C 0.750 0.265 0.991
C 0.250 0.667 0.746
C 0.750 0.833 0.246
C 0.250 0.235 0.491
C 0.250 0.735 0.009
C 0.250 0.167 0.754
C 0.750 0.333 0.254
U 0.750 0.422 0.642
U 0.250 0.578 0.358
U 0.750 0.922 0.858
U 0.250 0.078 0.142
V 0.750 0.579 0.100
V 0.250 0.921 0.600
V 0.750 0.079 0.400
V 0.250 0.421 0.900

---

4.
Compound: U2W2C3
Source: the Materials Project
Functional: r2SCAN
Structure: optimized geometry

Summary:
The symmetry is No. 12. The value obtained for the formation energy is -138 kJ/mol of formula units. The crystal system is monoclinic.

a = 5.981 Å, b = 5.981 Å, c = 5.622 Å
α = 75.44°, β = 75.44°, γ = 31.27°
Atoms (fractional coordinates):
U 0.605 0.605 0.668
U 0.395 0.395 0.332
C 0.000 0.000 0.000
C 0.258 0.258 0.741
C 0.742 0.742 0.259
W 0.154 0.154 0.123
W 0.846 0.846 0.877

---

5.
Compound: UWC2
Source: the Materials Project
Functional: r2SCAN
Structure: optimized geometry

Summary:
The symmetry is No. 62. The value obtained for the formation energy is -142 kJ/mol of formula units. The crystal system is orthorhombic.

a = 3.226 Å, b = 5.625 Å, c = 11.022 Å
α = 90.00°, β = 90.00°, γ = 90.00°
Atoms (fractional coordinates):
U 0.750 0.920 0.142
U 0.750 0.420 0.358
U 0.250 0.080 0.858
U 0.250 0.580 0.642
C 0.250 0.662 0.256
C 0.250 0.162 0.244
C 0.750 0.749 0.493
C 0.750 0.338 0.744
C 0.250 0.251 0.507
C 0.250 0.751 0.993
C 0.750 0.249 0.007
C 0.750 0.838 0.756
W 0.750 0.578 0.898
W 0.250 0.922 0.398
W 0.750 0.078 0.602
W 0.250 0.422 0.102

---

6.
Compound: V2C
Source: the Materials Project
Functional: r2SCAN
Structure: optimized geometry

Summary:
The symmetry is No. 60. The value obtained for the formation energy is -156 kJ/mol of formula units. The crystal system is orthorhombic.

a = 4.511 Å, b = 5.015 Å, c = 5.751 Å
α = 90.00°, β = 90.00°, γ = 90.00°
Atoms (fractional coordinates):
V 0.258 0.076 0.617
V 0.242 0.076 0.117
V 0.758 0.424 0.117
V 0.758 0.924 0.883
V 0.258 0.576 0.383
V 0.742 0.924 0.383
V 0.242 0.576 0.883
V 0.742 0.424 0.617
C 0.500 0.250 0.874
C 0.000 0.750 0.626
C 0.500 0.750 0.126
C 0.000 0.250 0.374

---

7.
Compound: V6C5
Source: the Materials Project
Functional: r2SCAN
Structure: optimized geometry

Summary:
The symmetry is No. 151. The value obtained for the formation energy is -674 kJ/mol of formula units. The crystal system is trigonal.

a = 5.090 Å, b = 5.090 Å, c = 14.326 Å
α = 90.00°, β = 90.00°, γ = 120.00°
Atoms (fractional coordinates):
V 0.471 0.222 0.252
V 0.111 0.865 0.076
V 0.753 0.889 0.743
V 0.753 0.865 0.257
V 0.778 0.249 0.585
V 0.111 0.528 0.749
V 0.778 0.529 0.415
V 0.135 0.889 0.590
V 0.471 0.249 0.748
V 0.417 0.528 0.584
V 0.111 0.247 0.924
V 0.751 0.529 0.918
V 0.751 0.222 0.082
V 0.472 0.889 0.918
V 0.135 0.247 0.410
V 0.472 0.583 0.082
V 0.111 0.583 0.251
V 0.417 0.889 0.416
C 0.108 0.216 0.667
C 0.440 0.220 0.000
C 0.446 0.891 0.167
C 0.780 0.220 0.333
C 0.444 0.556 0.333
C 0.779 0.559 0.167
C 0.112 0.556 0.000
C 0.109 0.554 0.500
C 0.780 0.560 0.667
C 0.441 0.221 0.500
C 0.444 0.888 0.667
C 0.108 0.892 0.333
C 0.446 0.554 0.833
C 0.779 0.221 0.833
C 0.784 0.892 0.000

---

8.
Compound: V2C
Source: the Materials Project
Functional: r2SCAN
Structure: optimized geometry

Summary:
The symmetry is No. 164. The value obtained for the formation energy is -156 kJ/mol of formula units. The crystal system is trigonal.

a = 2.883 Å, b = 2.882 Å, c = 4.501 Å
α = 90.00°, β = 90.00°, γ = 120.00°
Atoms (fractional coordinates):
V 0.667 0.333 0.745
V 0.333 0.667 0.255
C 0.000 0.000 0.000

---

9.
Compound: WC
Source: the Materials Project
Functional: r2SCAN
Structure: optimized geometry

Summary:
The symmetry is No. 187. The value obtained for the formation energy is -30 kJ/mol of formula units. The crystal system is hexagonal.

a = 2.917 Å, b = 2.917 Å, c = 2.839 Å
α = 90.00°, β = 90.00°, γ = 120.00°
Atoms (fractional coordinates):
C 0.667 0.333 0.500
W 0.000 0.000 0.000

---

10.
Compound: YC2
Source: the Materials Project
Functional: r2SCAN
Structure: optimized geometry

Summary:
The symmetry is No. 139. The value obtained for the formation energy is -104 kJ/mol of formula units. The crystal system is tetragonal.

a = 3.674 Å, b = 3.674 Å, c = 4.039 Å
α = 117.05°, β = 117.05°, γ = 90.00°
Atoms (fractional coordinates):
C 0.605 0.605 0.209
C 0.395 0.395 0.791
Y 0.000 0.000 0.000

---

11.
Compound: Yb2C
Source: the Materials Project
Functional: r2SCAN
Structure: optimized geometry

Summary:
The symmetry is No. 166. The value obtained for the formation energy is -156 kJ/mol of formula units. The crystal system is trigonal.

a = 6.227 Å, b = 6.227 Å, c = 6.227 Å
α = 32.80°, β = 32.80°, γ = 32.80°
Atoms (fractional coordinates):
Yb 0.741 0.741 0.741
Yb 0.259 0.259 0.259
C 0.000 0.000 0.000

---

12.
Compound: Ca
Source: the Materials Project
Functional: r2SCAN
Structure: optimized geometry

Summary:
The energy relative to the lowest polymorph listed for this composition is 15.0 meV per atom. The value obtained for the formation energy is 1 kJ/mol of formula units.

a = 4.193 Å, b = 4.891 Å, c = 4.203 Å
α = 90.00°, β = 90.00°, γ = 90.00°
Atoms (fractional coordinates):
Ca 0.750 0.250 0.385
Ca 0.250 0.750 0.885